[1]
VASP calculation (GGA-PBE) on a relaxed Ca3Ge3Bi2O12 crystal.

Cell and atoms, written as CIF:
```
data_Ca3Ge3Bi2O12
_symmetry_space_group_name_H-M 'I a -3 d'
_symmetry_Int_Tables_number 230
_symmetry_space_group_name_Hall '-I 4bd 2c 3'
_cell_length_a 13.133
_cell_length_b 13.133
_cell_length_c 13.133
_cell_angle_alpha 90.00
_cell_angle_beta 90.00
_cell_angle_gamma 90.00
loop_
_atom_site_label
_atom_site_type_symbol
_atom_site_fract_x
_atom_site_fract_y
_atom_site_fract_z
Ca1 Ca 0.000 0.250 0.125
Ge1 Ge 0.000 0.250 0.375
Bi1 Bi 0.000 0.000 0.000
O1 O 0.035 0.059 0.665
```


[2]
VASP calculation (GGA-PBE) on a relaxed Rb3GaP2 crystal.

Cell and atoms, written as CIF:
```
data_Rb3GaP2
_symmetry_space_group_name_H-M 'P b c a'
_symmetry_Int_Tables_number 61
_cell_length_a 9.247
_cell_length_b 14.926
_cell_length_c 25.127
_cell_angle_alpha 90.00
_cell_angle_beta 90.00
_cell_angle_gamma 90.00
loop_
_symmetry_equiv_pos_as_xyz
'x,y,z'
'-x,-y,-z'
'-x+1/2,-y,z+1/2'
'x+1/2,y,-z+1/2'
'x+1/2,-y+1/2,-z'
'-x+1/2,y+1/2,z'
'-x,y+1/2,-z+1/2'
'x,-y+1/2,z+1/2'
loop_
_atom_site_label
_atom_site_type_symbol
_atom_site_fract_x
_atom_site_fract_y
_atom_site_fract_z
Rb1 Rb 0.040 0.147 0.086
Rb2 Rb 0.109 0.040 0.791
Rb3 Rb 0.141 0.095 0.527
Rb4 Rb 0.141 0.170 0.276
Rb5 Rb 0.214 0.682 0.670
Rb6 Rb 0.219 0.179 0.928
Ga1 Ga 0.029 0.545 0.841
Ga2 Ga 0.049 0.623 0.099
P1 P 0.079 0.681 0.804
P2 P 0.119 0.736 0.044
P3 P 0.176 0.044 0.397
P4 P 0.186 0.546 0.166
```


[3]
VASP calculation (GGA-PBE) on a relaxed TbCuSi crystal.

Cell and atoms, written as CIF:
```
data_TbCuSi
_symmetry_space_group_name_H-M 'P 63/m m c'
_symmetry_Int_Tables_number 194
_symmetry_space_group_name_Hall '-P 6c 2c'
_cell_length_a 4.1566
_cell_length_b 4.1566
_cell_length_c 7.5292
_cell_angle_alpha 90.00
_cell_angle_beta 90.00
_cell_angle_gamma 120.00
loop_
_atom_site_label
_atom_site_type_symbol
_atom_site_fract_x
_atom_site_fract_y
_atom_site_fract_z
Tb1 Tb 0.0000 0.0000 0.0000
Cu1 Cu 0.3333 0.6667 0.2500
Si1 Si 0.3333 0.6667 0.7500
```


[4]
VASP calculation (GGA-PBE) on a relaxed CoNiN crystal.

Cell and atoms, written as CIF:
```
data_CoNiN
_symmetry_space_group_name_H-M 'P -6 m 2'
_symmetry_Int_Tables_number 187
_symmetry_space_group_name_Hall 'P -6 2'
_cell_length_a 3.1762
_cell_length_b 3.1762
_cell_length_c 3.6942
_cell_angle_alpha 90.00
_cell_angle_beta 90.00
_cell_angle_gamma 120.00
loop_
_atom_site_label
_atom_site_type_symbol
_atom_site_fract_x
_atom_site_fract_y
_atom_site_fract_z
Co1 Co 0.0000 0.0000 0.0000
Ni1 Ni 0.6667 0.3333 0.5000
N1 N 0.6667 0.3333 0.0000
```


[5]
VASP calculation (GGA-PBE) on a relaxed Sm2Ta3S2O8 crystal.

Cell and atoms, written as CIF:
```
data_Sm2Ta3S2O8
_symmetry_space_group_name_H-M 'P 21 21 2'
_symmetry_Int_Tables_number 18
_cell_length_a 9.909
_cell_length_b 11.686
_cell_length_c 3.791
_cell_angle_alpha 90.00
_cell_angle_beta 90.00
_cell_angle_gamma 90.00
loop_
_symmetry_equiv_pos_as_xyz
'x,y,z'
'-x,-y,z'
'x+1/2,-y+1/2,-z'
'-x+1/2,y+1/2,-z'
loop_
_atom_site_label
_atom_site_type_symbol
_atom_site_fract_x
_atom_site_fract_y
_atom_site_fract_z
Sm1 Sm 0.218 0.157 0.499
Ta1 Ta 0.000 0.500 0.018
Ta2 Ta 0.136 0.916 0.000
S1 S 0.017 0.353 0.513
O1 O 0.058 0.107 0.000
O2 O 0.143 0.954 0.499
O3 O 0.197 0.527 0.004
O4 O 0.218 0.773 0.001
```


[6]
# Ba2YBr7 (GGA-PBE, relaxed)
data_Ba2YBr7
_symmetry_space_group_name_H-M 'C 1 2/c 1'
_symmetry_Int_Tables_number 15
_cell_length_a 17.593
_cell_length_b 8.667
_cell_length_c 11.363
_cell_angle_alpha 90.00
_cell_angle_beta 128.95
_cell_angle_gamma 90.00
loop_
_symmetry_equiv_pos_as_xyz
'x,y,z'
'-x,-y,-z'
'-x,y,-z+1/2'
'x,-y,z+1/2'
'x+1/2,y+1/2,z'
'-x+1/2,-y+1/2,-z'
'-x+1/2,y+1/2,-z+1/2'
'x+1/2,-y+1/2,z+1/2'
loop_
_atom_site_label
_atom_site_type_symbol
_atom_site_fract_x
_atom_site_fract_y
_atom_site_fract_z
Ba1 Ba 0.195 0.014 0.300
Y1 Y 0.000 0.448 0.750
Br1 Br 0.000 0.100 0.750
Br2 Br 0.090 0.342 0.057
Br3 Br 0.121 0.277 0.436
Br4 Br 0.190 0.374 0.839
# Excess energy over the best structure of this formula in the dataset: 0.067 eV per atom


[7]
# KI2O6 (GGA-PBE, relaxed)
data_KI2O6
_symmetry_space_group_name_H-M 'P 1 21/c 1'
_symmetry_Int_Tables_number 14
_cell_length_a 10.690
_cell_length_b 7.568
_cell_length_c 8.802
_cell_angle_alpha 90.00
_cell_angle_beta 112.86
_cell_angle_gamma 90.00
loop_
_symmetry_equiv_pos_as_xyz
'x,y,z'
'-x,-y,-z'
'-x,y+1/2,-z+1/2'
'x,-y+1/2,z+1/2'
loop_
_atom_site_label
_atom_site_type_symbol
_atom_site_fract_x
_atom_site_fract_y
_atom_site_fract_z
K1 K 0.201 0.249 0.338
I1 I 0.124 0.703 0.072
I2 I 0.495 0.565 0.792
O1 O 0.032 0.164 0.012
O2 O 0.061 0.550 0.186
O3 O 0.235 0.652 0.736
O4 O 0.321 0.048 0.643
O5 O 0.431 0.026 0.082
O6 O 0.464 0.144 0.383
# Excess energy over the best structure of this formula in the dataset: 0.073 eV per atom


[8]
VASP calculation (GGA-PBE) on a relaxed Zn3Cd3Te2O12 crystal.

Cell and atoms, written as CIF:
```
data_Zn3Cd3Te2O12
_symmetry_space_group_name_H-M 'I a -3 d'
_symmetry_Int_Tables_number 230
_symmetry_space_group_name_Hall '-I 4bd 2c 3'
_cell_length_a 12.726
_cell_length_b 12.726
_cell_length_c 12.726
_cell_angle_alpha 90.00
_cell_angle_beta 90.00
_cell_angle_gamma 90.00
loop_
_atom_site_label
_atom_site_type_symbol
_atom_site_fract_x
_atom_site_fract_y
_atom_site_fract_z
Zn1 Zn 0.000 0.250 0.375
Cd1 Cd 0.000 0.250 0.125
Te1 Te 0.000 0.000 0.000
O1 O 0.025 0.049 0.644
```


Number 1: volume 2265 Å³ per cell, E_form -2.46 eV per atom. Number 2: volume 3468 Å³ per cell, E_form -0.40 eV per atom. Number 3: volume 113 Å³ per cell, E_form -0.64 eV per atom. Number 4: volume 32 Å³ per cell, E_form 0.03 eV per atom. Number 5: volume 439 Å³ per cell, E_form -3.20 eV per atom. Number 6: volume 1348 Å³ per cell, E_form -2.39 eV per atom. Number 7: volume 656 Å³ per cell, E_form -0.97 eV per atom. Number 8: volume 2061 Å³ per cell, E_form -1.63 eV per atom.